1.
NaHf3MgP3S3O24 after structural relaxation, computed with PBE.

Output
energy with MP2020 corrections	-8.0009	eV per atom
DFT formation energy	-2.853	eV/atom
magnetic moment	0.00	μB per atom

Structure (POSCAR):
```
NaHf3MgP3S3O24
1.0
8.8379 -0.0090 -0.0019
-4.4267 7.6547 -0.0029
-0.0050 -0.0107 22.9531
O S P Hf Na Mg
72 9 9 9 3 3
Direct
0.1287 0.4946 0.8620 O
0.5055 0.8575 0.0762 O
0.6942 0.1595 0.7420 O
0.1408 0.6431 0.0761 O
0.6923 0.1556 0.0298 O
0.4735 0.3062 0.7443 O
0.9743 0.1776 0.5916 O
0.5064 0.6360 0.8621 O
0.6403 0.5013 0.9239 O
0.1607 0.4652 0.2564 O
0.1570 0.4623 0.9709 O
0.6951 0.5359 0.5297 O
0.0247 0.2049 0.1979 O
0.3562 0.4895 0.0768 O
0.4887 0.3550 0.4245 O
0.6302 0.1231 0.1391 O
0.3556 0.8693 0.5749 O
0.7931 0.9738 0.6973 O
0.1732 0.9731 0.9073 O
0.1567 0.6911 0.4710 O
0.5088 0.8749 0.3611 O
0.5373 0.6932 0.9707 O
0.3649 0.8706 0.8614 O
0.8276 0.0254 0.0935 O
0.6356 0.5073 0.6378 O
0.8276 0.8052 0.5938 O
0.3056 0.4567 0.4687 O
0.1807 0.9777 0.1977 O
0.3661 0.4865 0.3635 O
0.4881 0.1223 0.6360 O
0.5337 0.6918 0.2564 O
0.0249 0.8192 0.6976 O
0.0227 0.1983 0.9071 O
0.3064 0.8442 0.9702 O
0.4653 0.1607 0.2443 O
0.8202 0.0274 0.8020 O
0.4560 0.3059 0.0316 O
0.4862 0.3643 0.1369 O
0.1577 0.6967 0.7575 O
0.4580 0.1532 0.5312 O
0.1980 0.1716 0.8034 O
0.3056 0.4667 0.7585 O
0.5377 0.8457 0.7573 O
0.8021 0.8261 0.9054 O
0.8437 0.5389 0.0299 O
0.8447 0.5331 0.7429 O
0.8610 0.3587 0.9228 O
0.9789 0.8040 0.0935 O
0.9780 0.1806 0.3027 O
0.8040 0.9794 0.4069 O
0.5377 0.8440 0.4704 O
0.4970 0.1409 0.9239 O
0.8739 0.5093 0.1394 O
0.1305 0.4873 0.5739 O
0.8754 0.3618 0.6365 O
0.5061 0.6427 0.5720 O
0.8600 0.5054 0.4248 O
0.2030 0.1785 0.0925 O
0.6919 0.5338 0.2439 O
0.1785 0.2028 0.4080 O
0.3066 0.8431 0.2554 O
0.1740 0.1980 0.6957 O
0.7940 0.8190 0.1979 O
0.2028 0.0246 0.5918 O
0.9700 0.7916 0.8019 O
0.2045 0.0245 0.3025 O
0.1233 0.6296 0.3614 O
0.8430 0.3066 0.2451 O
0.8454 0.3028 0.5317 O
0.6430 0.1410 0.4264 O
0.8189 0.7941 0.3023 O
0.0250 0.8270 0.4069 O
0.7048 0.7048 0.2498 S
0.7113 0.0050 0.7499 S
0.2935 0.0017 0.2499 S
0.9967 0.7072 0.7500 S
0.3342 0.3799 0.4154 S
0.0015 0.2934 0.2503 S
0.3802 0.0466 0.5846 S
0.9559 0.3357 0.5851 S
0.3804 0.3357 0.0851 S
0.9552 0.6177 0.0859 P
0.3373 0.9571 0.9154 P
0.6225 0.6651 0.9164 P
0.0491 0.6653 0.4150 P
0.6182 0.9562 0.4145 P
0.6631 0.0455 0.0858 P
0.0449 0.3801 0.9165 P
0.2941 0.2873 0.7497 P
0.6654 0.6199 0.5855 P
0.6748 0.3355 0.9803 Hf
0.9943 0.9936 0.3571 Hf
0.3338 0.6599 0.8118 Hf
0.6753 0.3426 0.4798 Hf
0.3419 0.6756 0.5207 Hf
0.3341 0.6734 0.0193 Hf
0.0077 0.0057 0.8580 Hf
0.9950 0.9955 0.1418 Hf
0.9998 0.0012 0.6448 Hf
0.6706 0.3310 0.3305 Na
0.3315 0.6707 0.1680 Na
0.6601 0.3325 0.8313 Na
0.6576 0.3388 0.6861 Mg
0.6726 0.3307 0.1831 Mg
0.3302 0.6732 0.3160 Mg
```

---

2.
Na6Hf3MgSi2P4O24 after structural relaxation, computed with PBE.

Output
energy with MP2020 corrections	-7.8448	eV per atom
DFT formation energy	-3.078	eV/atom
magnetic moment	0.00	μB per atom
relative energy among the computed polymorphs	0.15	eV/f.u.

Structure (POSCAR):
```
Na6Hf3MgSi2P4O24
1.0
13.0751 0.0121 -8.7444
-0.0183 9.0479 -0.0396
-0.1462 -0.0409 9.0893
P O Na Hf Mg Si
8 48 12 6 2 4
Direct
0.6455 0.1058 0.2405 P
0.9984 0.9584 0.7469 P
0.8573 0.3955 0.7654 P
0.0023 0.0458 0.2557 P
0.4984 0.4584 0.7469 P
0.5023 0.5458 0.2557 P
0.3573 0.8955 0.7654 P
0.1455 0.6058 0.2405 P
0.2451 0.3165 0.7564 O
0.3595 0.8473 0.6020 O
0.5622 0.5599 0.9077 O
0.5465 0.1625 0.0658 O
0.0408 0.3310 0.5723 O
0.4300 0.5475 0.5715 O
0.0465 0.6625 0.0658 O
0.2417 0.6672 0.2527 O
0.9147 0.1299 0.2563 O
0.1449 0.6625 0.4010 O
0.3545 0.1391 0.0756 O
0.4522 0.8400 0.9387 O
0.9642 0.6593 0.4263 O
0.0622 0.0599 0.9077 O
0.0782 0.8617 0.7360 O
0.7582 0.6832 0.2443 O
0.4426 0.4373 0.0927 O
0.5654 0.4528 0.4268 O
0.7451 0.8165 0.7564 O
0.2566 0.8441 0.7432 O
0.2582 0.1832 0.2443 O
0.5698 0.6571 0.2421 O
0.4281 0.3459 0.7585 O
0.0654 0.9528 0.4268 O
0.6569 0.0797 0.7379 O
0.6503 0.9364 0.2469 O
0.7417 0.1672 0.2527 O
0.4147 0.6299 0.2563 O
0.6488 0.8656 0.9242 O
0.1503 0.4364 0.2469 O
0.8595 0.3473 0.6020 O
0.9281 0.8459 0.7585 O
0.9426 0.9373 0.0927 O
0.8536 0.5691 0.7571 O
0.5408 0.8310 0.5723 O
0.4642 0.1593 0.4263 O
0.8545 0.6391 0.0756 O
0.8493 0.4181 0.2573 O
0.1569 0.5797 0.7379 O
0.3493 0.9181 0.2573 O
0.0698 0.1571 0.2421 O
0.9300 0.0475 0.5715 O
0.3536 0.0691 0.7571 O
0.7566 0.3441 0.7432 O
0.6449 0.1625 0.4010 O
0.9522 0.3400 0.9387 O
0.5782 0.3617 0.7360 O
0.1488 0.3656 0.9242 O
0.5102 0.0913 0.7695 Na
0.4973 0.8859 0.2336 Na
0.9973 0.3859 0.2336 Na
0.6853 0.5814 0.8114 Na
0.7423 0.7462 0.4774 Na
0.2423 0.2462 0.4774 Na
0.7974 0.9260 0.2077 Na
0.2501 0.7488 0.9994 Na
0.1853 0.0814 0.8114 Na
0.0102 0.5913 0.7695 Na
0.2974 0.4260 0.2077 Na
0.7501 0.2488 0.9994 Na
0.3961 0.7529 0.4422 Hf
0.3945 0.2548 0.9346 Hf
0.8961 0.2529 0.4422 Hf
0.6046 0.2488 0.5583 Hf
0.1046 0.7488 0.5583 Hf
0.8945 0.7548 0.9346 Hf
0.6041 0.7445 0.0606 Mg
0.1041 0.2445 0.0606 Mg
0.6497 0.8989 0.7515 Si
0.3509 0.1010 0.2518 Si
0.1497 0.3989 0.7515 Si
0.8509 0.6010 0.2518 Si
```

---

3.
Na6Hf3MgSi2P4O24 after structural relaxation, computed with PBE.

Output
energy with MP2020 corrections	-7.8487	eV per atom
DFT formation energy	-3.082	eV/atom
magnetic moment	0.00	μB per atom
relative energy among the computed polymorphs	0.00	eV/f.u.

Structure (POSCAR):
```
Na6Hf3MgSi2P4O24
1.0
-4.8564 5.8578 4.9343
-0.7050 -8.8949 1.5740
16.7371 1.2461 14.9235
Si O Na P Hf Mg
6 72 18 12 9 3
Direct
0.9631 0.6282 0.0873 Si
0.6268 0.6671 0.9174 Si
0.6676 0.6305 0.5874 Si
0.3362 0.9639 0.9150 Si
0.0411 0.3751 0.9163 Si
0.6306 0.9656 0.4166 Si
0.1813 0.1948 0.4123 O
0.8388 0.3148 0.2498 O
0.2982 0.8385 0.9721 O
0.8793 0.5135 0.1456 O
0.5072 0.8703 0.3580 O
0.8622 0.5013 0.4220 O
0.4966 0.1228 0.6348 O
0.1612 0.4649 0.9747 O
0.8081 0.7885 0.3091 O
0.5403 0.6913 0.9773 O
0.6862 0.1547 0.0357 O
0.9763 0.8177 0.0913 O
0.2168 0.0136 0.3136 O
0.9926 0.7971 0.8071 O
0.5334 0.8304 0.7502 O
0.6424 0.4949 0.9228 O
0.8201 0.8274 0.9110 O
0.1379 0.4915 0.5773 O
0.0226 0.8226 0.4124 O
0.5070 0.6385 0.8588 O
0.8796 0.3530 0.6437 O
0.1997 0.0282 0.5881 O
0.1646 0.9807 0.9098 O
0.0119 0.8144 0.6958 O
0.6912 0.1601 0.7451 O
0.8197 0.0131 0.8005 O
0.3041 0.4717 0.7506 O
0.9870 0.1938 0.3090 O
0.3104 0.4622 0.4717 O
0.5027 0.3667 0.4214 O
0.6841 0.5274 0.2453 O
0.1624 0.6841 0.7497 O
0.1222 0.6343 0.3589 O
0.3006 0.8278 0.2535 O
0.4726 0.3159 0.7485 O
0.9777 0.1716 0.5879 O
0.4782 0.1482 0.2474 O
0.1542 0.6806 0.4692 O
0.7960 0.9819 0.6898 O
0.1520 0.6468 0.0799 O
0.4876 0.3565 0.1365 O
0.4575 0.1445 0.5239 O
0.0140 0.2054 0.1960 O
0.3476 0.8591 0.5752 O
0.8419 0.5260 0.7493 O
0.7992 0.8227 0.1973 O
0.5292 0.8443 0.4738 O
0.3631 0.8740 0.8566 O
0.1312 0.4955 0.8577 O
0.6476 0.5256 0.6467 O
0.8431 0.3077 0.5315 O
0.1590 0.4795 0.2535 O
0.3590 0.4880 0.3616 O
0.1874 0.1809 0.0907 O
0.8355 0.8268 0.5859 O
0.0267 0.1891 0.9108 O
0.8179 0.9839 0.4135 O
0.8420 0.5369 0.0284 O
0.2033 0.1973 0.8088 O
0.5192 0.8529 0.0811 O
0.6451 0.1544 0.4205 O
0.6831 0.5367 0.5261 O
0.5030 0.6637 0.5811 O
0.4966 0.1539 0.9227 O
0.3543 0.4964 0.0804 O
0.8559 0.3604 0.9240 O
0.4472 0.3106 0.0248 O
0.8359 0.0292 0.0904 O
0.5292 0.6985 0.2537 O
0.6446 0.1118 0.1473 O
0.1767 0.9815 0.2021 O
0.1777 0.1948 0.6974 O
0.3259 0.6653 0.1623 Na
0.6662 0.9731 0.5875 Na
0.0219 0.3396 0.0864 Na
0.9712 0.6681 0.9197 Na
0.7149 0.6876 0.4146 Na
0.3362 0.3072 0.9175 Na
0.6659 0.6833 0.0795 Na
0.3233 0.6632 0.6650 Na
0.6449 0.0150 0.2425 Na
0.6330 0.6163 0.7399 Na
0.9624 0.2812 0.4084 Na
0.6469 0.2983 0.8299 Na
0.9895 0.3662 0.7449 Na
0.0001 0.9925 0.4980 Na
0.3276 0.0296 0.4086 Na
0.9848 0.6211 0.2377 Na
0.6492 0.3303 0.3215 Na
0.9991 0.9952 0.9979 Na
0.7065 0.0000 0.7463 P
0.9605 0.3347 0.5872 P
0.7064 0.7048 0.2525 P
0.9990 0.2960 0.2531 P
0.2944 0.2933 0.7508 P
0.0412 0.6637 0.4157 P
0.0012 0.7039 0.7505 P
0.2966 0.0013 0.2555 P
0.3738 0.3343 0.0843 P
0.6663 0.0386 0.0895 P
0.3349 0.3742 0.4171 P
0.3766 0.0425 0.5827 P
0.3371 0.6747 0.8140 Hf
0.3327 0.6741 0.0180 Hf
0.0063 0.9965 0.6445 Hf
0.0084 0.0020 0.1492 Hf
0.6679 0.3314 0.9807 Hf
0.9962 0.0006 0.8541 Hf
0.6681 0.3385 0.4840 Hf
0.3374 0.6672 0.3125 Hf
0.3365 0.6649 0.5220 Hf
0.9994 0.9996 0.3502 Mg
0.6619 0.3333 0.1830 Mg
0.6571 0.3299 0.6831 Mg
```

---

4.
Na7Hf3MgSi3P3O24 after structural relaxation, computed with PBE.

Output
energy with MP2020 corrections	-7.7525	eV per atom
DFT formation energy	-3.070	eV/atom
magnetic moment	0.00	μB per atom

Structure (POSCAR):
```
Na7Hf3MgSi3P3O24
1.0
9.1202 -0.0032 -0.0102
-4.5629 7.8901 -0.0077
-0.0264 -0.0371 22.5145
O Na Si Mg P Hf
72 21 9 3 9 9
Direct
0.0233 0.2069 0.1950 O
0.6403 0.5248 0.6424 O
0.3103 0.4724 0.7546 O
0.1832 0.1604 0.0904 O
0.7939 0.8158 0.1949 O
0.5168 0.6632 0.5795 O
0.1291 0.4861 0.8572 O
0.4670 0.3080 0.7448 O
0.5068 0.3590 0.4227 O
0.8431 0.3038 0.5271 O
0.8252 0.0266 0.8026 O
0.8456 0.3217 0.2450 O
0.5319 0.8332 0.7552 O
0.1918 0.0142 0.5886 O
0.8316 0.0110 0.0904 O
0.4944 0.8497 0.0778 O
0.1591 0.6954 0.4748 O
0.4919 0.1399 0.9216 O
0.1682 0.1851 0.4110 O
0.1832 0.9751 0.1948 O
0.5368 0.8444 0.4761 O
0.1392 0.6526 0.0760 O
0.8324 0.8062 0.5901 O
0.1725 0.2043 0.6979 O
0.8515 0.4947 0.4231 O
0.2063 0.0197 0.3061 O
0.4588 0.2993 0.0264 O
0.6911 0.5418 0.5307 O
0.3067 0.8331 0.2528 O
0.1756 0.6921 0.7530 O
0.3104 0.8547 0.9725 O
0.6363 0.1464 0.4222 O
0.1785 0.9864 0.9104 O
0.3712 0.4916 0.3554 O
0.1525 0.4612 0.9749 O
0.3038 0.4682 0.4701 O
0.4804 0.1237 0.6413 O
0.5043 0.8726 0.3587 O
0.3542 0.8729 0.8609 O
0.5276 0.6923 0.2523 O
0.0315 0.8231 0.6897 O
0.5378 0.6885 0.9755 O
0.8169 0.8336 0.9129 O
0.6306 0.1132 0.1471 O
0.8129 0.9827 0.4126 O
0.6820 0.1527 0.7454 O
0.3575 0.8620 0.5798 O
0.9764 0.1875 0.3058 O
0.9713 0.1570 0.5889 O
0.6313 0.4867 0.9217 O
0.8881 0.5200 0.1425 O
0.1501 0.5078 0.5796 O
0.8485 0.3496 0.9204 O
0.4888 0.3763 0.1436 O
0.8137 0.7919 0.3063 O
0.5109 0.6401 0.8576 O
0.4728 0.1569 0.2469 O
0.3410 0.4972 0.0776 O
0.8398 0.5399 0.0323 O
0.8832 0.3674 0.6452 O
0.1671 0.4741 0.2524 O
0.0187 0.8326 0.4123 O
0.8308 0.5176 0.7486 O
0.4590 0.1484 0.5293 O
0.9769 0.8051 0.0913 O
0.0369 0.1907 0.9111 O
0.9793 0.8098 0.8036 O
0.1245 0.6292 0.3582 O
0.7913 0.9716 0.6933 O
0.6862 0.5268 0.2458 O
0.7052 0.1682 0.0312 O
0.2083 0.1864 0.8077 O
0.0264 0.6872 0.5853 Na
0.0085 0.0139 0.4902 Na
0.3174 0.9809 0.0846 Na
0.6678 0.9762 0.5797 Na
0.7133 0.6825 0.4135 Na
0.9852 0.9962 0.9959 Na
0.3229 0.6510 0.6629 Na
0.6382 0.0146 0.2457 Na
0.3770 0.3628 0.2462 Na
0.9825 0.3692 0.7434 Na
0.3171 0.0304 0.4136 Na
0.9698 0.2864 0.4151 Na
0.3712 0.0081 0.7443 Na
0.6886 0.3475 0.8332 Na
0.6597 0.6890 0.0846 Na
0.0261 0.3323 0.0803 Na
0.9876 0.6277 0.2496 Na
0.3400 0.6687 0.1648 Na
0.6652 0.3330 0.3324 Na
0.3341 0.3057 0.9190 Na
0.6404 0.6223 0.7478 Na
0.3340 0.3699 0.4148 Si
0.3734 0.3343 0.0849 Si
0.9995 0.7035 0.7486 Si
0.0379 0.6671 0.4170 Si
0.6275 0.9618 0.4178 Si
0.9636 0.3347 0.5865 Si
0.6296 0.6647 0.9163 Si
0.6646 0.0386 0.0872 Si
0.0348 0.3691 0.9160 Si
0.6733 0.3407 0.6827 Mg
0.6621 0.3313 0.1810 Mg
0.9985 0.9993 0.3532 Mg
0.9997 0.2960 0.2515 P
0.7066 0.7052 0.2514 P
0.2925 0.2925 0.7518 P
0.3338 0.9614 0.9166 P
0.6653 0.6277 0.5864 P
0.3751 0.0413 0.5857 P
0.7070 0.9986 0.7491 P
0.2939 0.9997 0.2518 P
0.9589 0.6257 0.0858 P
0.3280 0.6632 0.8157 Hf
0.0003 0.0030 0.1483 Hf
0.6684 0.3318 0.4813 Hf
0.3333 0.6661 0.3170 Hf
0.6715 0.3311 0.9801 Hf
0.0065 0.0046 0.6463 Hf
0.9905 0.9912 0.8545 Hf
0.3296 0.6585 0.5176 Hf
0.3371 0.6652 0.0167 Hf
```

---

The lowest DFT formation energy belongs to which entry?
number 3

---

Which value of energy with MP2020 corrections does entry 3 give?
-7.8487 eV per atom

---

Which of these has the lowest energy with MP2020 corrections?
NaHf3MgP3S3O24

---

What is the formula in the third record?
Na6Hf3MgSi2P4O24